Density functional theory data (PBE with a Hubbard U) for a relaxed Fe6O7F5 crystal.

density: 4.38 g cm⁻³
space group: Amm2, No. 38
calculated total energy: -6.028 eV/atom

a = 4.7622 Å, b = 4.7622 Å, c = 9.1002 Å
α = 90.00°, β = 90.00°, γ = 95.70°
Atoms (fractional coordinates):
Fe: 0.4960 0.5040 0.1679
Fe: 0.9894 0.0106 0.6590
Fe: 0.0008 0.9992 0.0000
Fe: 0.9894 0.0106 0.3410
Fe: 0.4960 0.5040 0.8321
Fe: 0.5312 0.4688 0.5000
F: 0.8069 0.1931 0.1639
F: 0.1926 0.8074 0.5000
F: 0.8069 0.1931 0.8361
F: 0.1885 0.8115 0.8335
F: 0.1885 0.8115 0.1665
O: 0.3004 0.3072 0.0000
O: 0.6928 0.6996 0.0000
O: 0.8112 0.1888 0.5000
O: 0.3062 0.3015 0.3280
O: 0.6985 0.6938 0.6720
O: 0.6985 0.6938 0.3280
O: 0.3062 0.3015 0.6720